Entry 1:
The following is a r2SCAN calculation of a relaxed structure of Cs2PdSe8, from the Materials Project.

a = 12.616 Å, b = 12.616 Å, c = 12.616 Å
α = 105.80°, β = 105.80°, γ = 117.10°
Fractional coordinates of all 44 atoms:
Se: 0.877 0.039 0.347
Se: 0.377 0.030 0.838
Se: 0.649 0.462 0.129
Se: 0.833 0.962 0.813
Se: 0.192 0.539 0.162
Se: 0.692 0.530 0.653
Se: 0.101 0.730 0.313
Se: 0.770 0.399 0.687
Se: 0.470 0.123 0.162
Se: 0.538 0.667 0.187
Se: 0.149 0.020 0.187
Se: 0.417 0.788 0.687
Se: 0.373 0.711 0.153
Se: 0.980 0.167 0.129
Se: 0.780 0.627 0.338
Se: 0.558 0.220 0.847
Se: 0.038 0.851 0.871
Se: 0.917 0.230 0.629
Se: 0.789 0.127 0.847
Se: 0.270 0.583 0.371
Se: 0.961 0.308 0.838
Se: 0.480 0.351 0.813
Se: 0.712 0.083 0.313
Se: 0.970 0.808 0.347
Se: 0.873 0.720 0.662
Se: 0.601 0.288 0.371
Se: 0.212 0.899 0.629
Se: 0.461 0.623 0.652
Se: 0.058 0.211 0.338
Se: 0.333 0.520 0.871
Se: 0.280 0.942 0.153
Se: 0.289 0.442 0.662
Cs: 0.116 0.616 0.731
Cs: 0.134 0.134 0.769
Cs: 0.884 0.384 0.269
Cs: 0.634 0.866 0.000
Cs: 0.616 0.884 0.500
Cs: 0.866 0.634 0.000
Cs: 0.366 0.366 0.231
Cs: 0.384 0.116 0.500
Pd: 0.750 0.250 0.500
Pd: 0.250 0.750 0.500
Pd: 0.000 0.000 0.000
Pd: 0.500 0.500 0.000

***

Entry 2:
The following is a r2SCAN calculation of a relaxed structure of CsRb3, from the Materials Project.

a = 8.271 Å, b = 8.271 Å, c = 8.271 Å
α = 60.00°, β = 60.00°, γ = 60.00°
Fractional coordinates of all 4 atoms:
Cs: 0.000 0.000 0.000
Rb: 0.750 0.750 0.750
Rb: 0.250 0.250 0.250
Rb: 0.500 0.500 0.500

***

Entry 3:
The following is a r2SCAN calculation of a relaxed structure of CsRb3, from the Materials Project.

a = 9.079 Å, b = 9.079 Å, c = 9.079 Å
α = 131.88°, β = 131.88°, γ = 70.42°
Fractional coordinates of all 4 atoms:
Rb: 0.750 0.250 0.500
Rb: 0.250 0.750 0.500
Rb: 0.500 0.500 0.000
Cs: 0.000 0.000 0.000

***

Entry 4:
The following is a r2SCAN calculation of a relaxed structure of CsRb3, from the Materials Project.

a = 10.519 Å, b = 10.519 Å, c = 8.604 Å
α = 90.00°, β = 90.00°, γ = 120.00°
Fractional coordinates of all 8 atoms:
Rb: 0.836 0.672 0.750
Rb: 0.836 0.164 0.750
Rb: 0.672 0.836 0.250
Rb: 0.164 0.836 0.250
Rb: 0.328 0.164 0.750
Rb: 0.164 0.328 0.250
Cs: 0.667 0.333 0.250
Cs: 0.333 0.667 0.750

***

Number 1: DFT formation energy -0.5860 eV per atom, energy -17.65 eV per atom, magnetization 0.0 μB/cell. Number 2: DFT formation energy 0.0132 eV per atom, energy -16.71 eV per atom, magnetization 0.0 μB/cell. Number 3: DFT formation energy 0.0141 eV per atom, energy -16.71 eV per atom, magnetization 0.0 μB/cell. Number 4: DFT formation energy 0.0099 eV per atom, energy -16.72 eV per atom, magnetization 0.3 μB/cell.